CaH16C4N8Cl2O4 after structural relaxation. Source: the Materials Project database, functional PBE.

Properties
volume: 10.84 Å³/atom
energy of formation from the pure elements: -0.78 eV per atom
energy above the most stable polymorph in this dataset: 0.0000 eV per atom

The structure in CIF format:
```
data_CaH16C4N8Cl2O4
_chemical_formula_sum 'Ca2 H32 C8 N16 Cl4 O8'
_space_group_name_H-M_alt 'P 1 21/c 1'
_space_group_IT_number 14
_space_group_name_Hall '-P 2ybc'
_cell_length_a 8.3551
_cell_length_b 12.8076
_cell_length_c 7.7163
_cell_angle_alpha 90.00
_cell_angle_beta 113.24
_cell_angle_gamma 90.00
loop_
_atom_site_label
_atom_site_type_symbol
_atom_site_fract_x
_atom_site_fract_y
_atom_site_fract_z
Ca1 Ca 0.0000 0.0000 0.0000
H1 H 0.0311 0.2436 0.5316
H2 H 0.1661 0.1738 0.4458
H3 H 0.1799 0.6707 0.8639
H4 H 0.2546 0.5320 0.2683
H5 H 0.2845 0.0189 0.5707
H6 H 0.4065 0.6623 0.0008
H7 H 0.4379 0.5798 0.6716
H8 H 0.4444 0.1903 0.8401
C1 C 0.1262 0.1046 0.6659
C2 C 0.2911 0.6953 0.5029
N1 N 0.1134 0.1825 0.5440
N2 N 0.2267 0.0222 0.6650
N3 N 0.2945 0.7051 0.9493
N4 N 0.4441 0.6479 0.6058
Cl1 Cl 0.3166 0.0725 0.2826
O1 O 0.0494 0.1093 0.7796
O2 O 0.1478 0.6452 0.4526
```